80
Lattice="5.2073 -4.6376 0.0000 5.2073 4.6376 0.0000 -2.6080 0.0000 22.3658" Properties=species:S:1:pos:R:3 comment="Na9Li7V16O48 (PBE with a Hubbard U, relaxed)" energy_corrected_mp2020_ev_per_atom=-7.489 total_energy_ev_per_atom=-6.74 ef_mev_per_atom=-2387.9 pbc="T T T"
Na 0.0000 0.0000 0.0000
Na 0.6479 1.1846 16.7733
Na 2.9274 1.9057 8.3871
Na 5.2073 1.1774 0.0000
Na 4.8791 1.9057 13.9787
Na 7.1586 1.1846 5.5925
Na 1.6205 -2.7284 19.5647
Na 3.9033 -3.4535 11.1829
Na 6.1861 -2.7284 2.8011
Li 1.6214 3.0568 19.5639
Li 1.9514 0.0296 5.5914
Li 6.1852 3.0568 2.8019
Li 3.9033 0.0297 11.1829
Li 2.9274 -1.5775 8.3871
Li 5.8551 0.0296 16.7744
Li 4.8791 -1.5775 13.9787
V -0.0872 0.0778 8.3817
V 4.1444 3.0112 5.5876
V -0.5600 0.0816 19.5592
V 3.6621 3.0113 16.7782
V 1.8642 0.0778 13.9729
V 0.8885 -1.6257 11.1772
V 3.9919 0.0797 2.8037
V 3.0130 -1.6097 0.0079
V 3.8146 0.0797 19.5621
V 2.8400 -1.6255 16.7681
V 5.9423 0.0778 8.3929
V 4.9665 -1.6255 5.5977
V 8.3665 0.0816 2.8065
V 4.7935 -1.6097 22.3579
V 7.8937 0.0778 13.9841
V 6.9180 -1.6257 11.1886
O 1.6588 1.4811 0.3020
O -2.1656 0.1145 20.0751
O 1.1634 2.9408 21.7757
O 0.0117 1.6311 19.2873
O 4.0231 3.8504 7.2035
O 2.0666 2.9795 17.3342
O 1.2876 1.6263 14.2549
O 3.7834 3.8504 15.1623
O -0.2083 -0.7607 9.9987
O 2.2874 1.4634 10.9067
O 1.5086 0.1101 7.8270
O -0.4410 -0.7634 17.9509
O 3.5677 1.4628 5.8680
O 2.3945 0.1102 3.3550
O 5.7399 2.9795 5.0316
O 4.5673 1.6280 2.5198
O 0.7675 -0.7871 12.7942
O 6.6431 2.9408 0.5901
O 3.2392 1.6280 19.8460
O 0.5224 -0.7777 20.7536
O 1.7432 -0.7608 15.5897
O 4.2388 1.4628 16.4977
O 3.4602 0.1106 13.4185
O 4.1199 -0.7603 1.1879
O 5.5191 1.4634 11.4591
O 4.3463 0.1106 8.9473
O 2.4845 -1.6583 10.6227
O 6.5189 1.6263 8.1109
O 2.7181 -0.7867 18.3852
O 3.3704 -1.6580 6.1518
O 7.7948 1.6311 3.0785
O 5.0884 -0.7867 3.9806
O 3.6866 -0.7603 21.1779
O 6.1477 1.4811 22.0638
O 5.4120 0.1102 19.0108
O 6.0633 -0.7608 6.7761
O 2.2631 -3.1737 17.0497
O 6.2979 0.1101 14.5388
O 4.4361 -1.6580 16.2140
O 3.2632 -3.0114 13.7025
O 7.2841 -0.7777 1.6121
O 5.3221 -1.6583 11.7431
O 4.5433 -3.0114 8.6633
O 7.0390 -0.7871 9.5716
O 8.2475 -0.7633 4.4149
O 5.5434 -3.1737 5.3161
O 9.9721 0.1145 2.2907
O 8.0148 -0.7607 12.3671


16
Lattice="5.1363 -2.9627 0.0000 5.1363 2.9627 0.0000 -1.7095 0.0000 4.8161" Properties=species:S:1:pos:R:3 comment="Li4Cr3NiO8 (PBE with a Hubbard U, relaxed)" energy_corrected_mp2020_ev_per_atom=-7.308 total_energy_ev_per_atom=-6.43 ef_mev_per_atom=-2185.7 polymorph_energy_ev_per_atom=0.000 pbc="T T T"
Li 2.5681 1.4814 0.0000
Li 1.7010 0.0000 2.4051
Li 2.5681 -1.4814 0.0000
Li 6.8620 0.0000 2.4110
Cr 4.2815 1.4888 2.4081
Cr 5.1363 0.0000 0.0000
Cr 4.2815 -1.4888 2.4081
Ni 0.0000 0.0000 0.0000
O -0.0780 0.0000 3.5351
O 2.6853 1.3845 3.6584
O 5.8778 1.3845 1.1577
O 3.5407 0.0000 1.2175
O 5.0224 0.0000 3.5986
O 2.6853 -1.3845 3.6584
O 5.8778 -1.3845 1.1577
O 8.6410 0.0000 1.2810


5
Lattice="4.1013 0.0000 0.0000 0.0000 4.1013 0.0000 0.0000 0.0000 4.1013" Properties=species:S:1:pos:R:3 comment="SrWO3 (PBE with a Hubbard U, relaxed)" energy_corrected_mp2020_ev_per_atom=-8.355 total_energy_ev_per_atom=-7.05 ef_mev_per_atom=-2456.3 pbc="T T T"
Sr 0.0000 0.0000 0.0000
W 2.0506 2.0506 2.0506
O 0.0000 2.0506 2.0506
O 2.0506 0.0000 2.0506
O 2.0506 2.0506 0.0000